[1]
! NaCaHfNbO6 (PBE-GGA, relaxed); values from VASP
! Volume = 13.36 Å³/atom
! Energy relative to the elements = -74.89 kcal/mol of atoms
&SYSTEM
  ibrav = 0, nat = 10, ntyp = 5
/
ATOMIC_SPECIES
Na 22.99 Na.upf
Ca 40.08 Ca.upf
Hf 178.49 Hf.upf
Nb 92.91 Nb.upf
O 16.00 O.upf
ATOMIC_POSITIONS crystal
Na 0.750 0.750 0.750
Ca 0.250 0.250 0.250
Hf 0.000 0.000 0.000
Nb 0.500 0.500 0.500
O 0.746 0.254 0.254
O 0.254 0.746 0.746
O 0.746 0.254 0.746
O 0.254 0.746 0.254
O 0.746 0.746 0.254
O 0.254 0.254 0.746
CELL_PARAMETERS angstrom
-0.894 5.251 2.132
-3.808 3.497 -2.489
-4.940 1.216 2.653

[2]
! Na3CaHfP3O12 (PBE-GGA, relaxed); values from VASP
! Volume = 13.97 Å³/atom
! Energy relative to the elements = -68.98 kcal/mol of atoms
&SYSTEM
  ibrav = 0, nat = 120, ntyp = 5
/
ATOMIC_SPECIES
Na 22.99 Na.upf
Ca 40.08 Ca.upf
Hf 178.49 Hf.upf
P 30.97 P.upf
O 16.00 O.upf
ATOMIC_POSITIONS crystal
Na 0.984 0.970 0.495
Na 0.984 0.014 0.995
Na 0.667 0.338 0.828
Na 0.667 0.330 0.328
Na 0.329 0.663 0.162
Na 0.329 0.666 0.662
Na 0.370 0.356 0.246
Na 0.987 0.639 0.246
Na 0.987 0.348 0.746
Na 0.370 0.014 0.746
Na 0.316 0.346 0.580
Na 0.654 0.966 0.579
Na 0.316 0.971 0.080
Na 0.654 0.688 0.079
Na 0.984 0.682 0.912
Na 0.319 0.297 0.913
Na 0.984 0.303 0.412
Na 0.319 0.022 0.413
Ca 0.987 0.994 0.350
Ca 0.987 0.994 0.850
Ca 0.672 0.347 0.684
Ca 0.672 0.325 0.184
Ca 0.329 0.662 0.017
Ca 0.329 0.667 0.517
Hf 0.996 0.992 0.649
Hf 0.996 0.004 0.149
Hf 0.671 0.327 0.983
Hf 0.671 0.343 0.483
Hf 0.342 0.672 0.316
Hf 0.342 0.670 0.816
P 0.291 0.991 0.252
P 0.697 0.705 0.248
P 0.013 0.307 0.254
P 0.291 0.300 0.752
P 0.013 0.706 0.754
P 0.697 0.992 0.748
P 0.961 0.321 0.585
P 0.367 0.043 0.586
P 0.674 0.636 0.584
P 0.961 0.640 0.085
P 0.674 0.038 0.084
P 0.367 0.324 0.086
P 0.628 0.655 0.921
P 0.033 0.375 0.915
P 0.343 0.970 0.918
P 0.628 0.973 0.421
P 0.343 0.373 0.418
P 0.033 0.658 0.415
O 0.214 0.013 0.308
O 0.808 0.782 0.301
O 0.994 0.218 0.312
O 0.214 0.201 0.808
O 0.994 0.776 0.812
O 0.808 0.026 0.801
O 0.785 0.970 0.692
O 0.170 0.204 0.698
O 0.028 0.826 0.701
O 0.785 0.815 0.192
O 0.028 0.202 0.201
O 0.170 0.966 0.198
O 0.886 0.340 0.642
O 0.465 0.120 0.642
O 0.640 0.531 0.637
O 0.886 0.546 0.142
O 0.640 0.109 0.137
O 0.465 0.344 0.142
O 0.463 0.298 0.031
O 0.845 0.540 0.031
O 0.695 0.151 0.028
O 0.463 0.164 0.531
O 0.695 0.543 0.528
O 0.845 0.305 0.531
O 0.557 0.675 0.978
O 0.140 0.457 0.968
O 0.316 0.871 0.974
O 0.557 0.883 0.478
O 0.316 0.445 0.474
O 0.140 0.683 0.468
O 0.123 0.633 0.359
O 0.507 0.870 0.368
O 0.361 0.487 0.363
O 0.123 0.490 0.859
O 0.361 0.874 0.863
O 0.507 0.637 0.868
O 0.010 0.810 0.410
O 0.808 0.012 0.414
O 0.193 0.194 0.411
O 0.010 0.200 0.910
O 0.193 0.998 0.911
O 0.808 0.796 0.914
O 0.961 0.149 0.587
O 0.192 0.037 0.589
O 0.840 0.811 0.588
O 0.961 0.813 0.087
O 0.840 0.029 0.088
O 0.192 0.155 0.089
O 0.665 0.140 0.743
O 0.464 0.318 0.745
O 0.872 0.524 0.747
O 0.665 0.525 0.243
O 0.872 0.348 0.247
O 0.464 0.145 0.245
O 0.628 0.482 0.921
O 0.860 0.373 0.920
O 0.507 0.148 0.921
O 0.628 0.145 0.421
O 0.507 0.359 0.421
O 0.860 0.488 0.420
O 0.347 0.477 0.078
O 0.143 0.680 0.080
O 0.526 0.858 0.077
O 0.347 0.870 0.578
O 0.526 0.668 0.577
O 0.143 0.463 0.580
O 0.297 0.823 0.255
O 0.521 0.695 0.255
O 0.187 0.479 0.254
O 0.297 0.474 0.755
O 0.187 0.708 0.754
O 0.521 0.827 0.755
CELL_PARAMETERS angstrom
-9.165 0.932 0.338
4.544 -3.610 7.176
2.436 20.793 8.917

[3]
! Na10Ca3Hf5P12O48 (PBE-GGA, relaxed); values from VASP
! Volume = 14.08 Å³/atom
! Energy relative to the elements = -70.39 kcal/mol of atoms
&SYSTEM
  ibrav = 0, nat = 234, ntyp = 5
/
ATOMIC_SPECIES
Na 22.99 Na.upf
Ca 40.08 Ca.upf
Hf 178.49 Hf.upf
P 30.97 P.upf
O 16.00 O.upf
ATOMIC_POSITIONS crystal
Na 0.322 0.015 0.249
Na 0.686 0.356 0.249
Na 0.317 0.623 0.750
Na 0.817 0.623 0.749
Na 0.157 0.349 0.578
Na 0.657 0.348 0.577
Na 0.016 0.686 0.579
Na 0.517 0.686 0.578
Na 0.325 0.963 0.578
Na 0.826 0.967 0.579
Na 0.157 0.965 0.078
Na 0.658 0.967 0.079
Na 0.325 0.685 0.079
Na 0.826 0.687 0.078
Na 0.017 0.348 0.078
Na 0.517 0.348 0.079
Na 0.661 0.022 0.411
Na 0.351 0.679 0.410
Na 0.000 0.999 0.493
Na 0.500 0.017 0.489
Na 0.000 0.000 0.995
Na 0.500 0.000 0.996
Na 0.334 0.318 0.831
Na 0.833 0.318 0.831
Na 0.335 0.340 0.325
Na 0.846 0.343 0.327
Na 0.162 0.652 0.167
Na 0.666 0.680 0.166
Na 0.160 0.668 0.668
Na 0.660 0.667 0.668
Ca 0.500 0.006 0.350
Ca 0.334 0.325 0.691
Ca 0.833 0.324 0.691
Ca 0.331 0.338 0.186
Ca 0.840 0.336 0.189
Ca 0.167 0.668 0.007
Ca 0.667 0.667 0.007
Ca 0.160 0.658 0.509
Ca 0.671 0.670 0.511
Hf 0.000 0.999 0.351
Hf 0.002 0.003 0.853
Hf 0.502 0.003 0.853
Hf 0.002 0.004 0.651
Hf 0.502 0.003 0.650
Hf 0.000 0.000 0.151
Hf 0.500 0.997 0.152
Hf 0.333 0.335 0.979
Hf 0.833 0.334 0.979
Hf 0.332 0.325 0.480
Hf 0.837 0.341 0.479
Hf 0.164 0.663 0.316
Hf 0.665 0.667 0.317
Hf 0.164 0.667 0.818
Hf 0.664 0.667 0.818
P 0.143 0.987 0.252
P 0.648 0.991 0.252
P 0.346 0.705 0.253
P 0.851 0.713 0.252
P 0.006 0.294 0.252
P 0.505 0.304 0.249
P 0.143 0.300 0.752
P 0.643 0.300 0.752
P 0.006 0.718 0.752
P 0.506 0.718 0.752
P 0.352 0.988 0.752
P 0.852 0.987 0.752
P 0.480 0.328 0.584
P 0.979 0.327 0.584
P 0.183 0.039 0.584
P 0.684 0.042 0.582
P 0.336 0.632 0.585
P 0.838 0.633 0.587
P 0.480 0.632 0.083
P 0.980 0.634 0.083
P 0.336 0.040 0.085
P 0.836 0.041 0.083
P 0.183 0.327 0.082
P 0.685 0.327 0.086
P 0.318 0.664 0.916
P 0.818 0.664 0.916
P 0.014 0.364 0.918
P 0.514 0.364 0.918
P 0.168 0.972 0.918
P 0.668 0.972 0.918
P 0.313 0.967 0.418
P 0.819 0.972 0.417
P 0.168 0.364 0.418
P 0.672 0.369 0.418
P 0.015 0.667 0.417
P 0.514 0.659 0.419
O 0.092 0.998 0.303
O 0.609 0.011 0.308
O 0.393 0.784 0.309
O 0.907 0.815 0.303
O 0.493 0.197 0.302
O 0.003 0.183 0.303
O 0.093 0.188 0.803
O 0.593 0.188 0.803
O 0.501 0.822 0.802
O 0.001 0.822 0.802
O 0.408 0.994 0.803
O 0.908 0.994 0.803
O 0.395 0.969 0.695
O 0.895 0.969 0.695
O 0.093 0.213 0.694
O 0.593 0.213 0.694
O 0.015 0.821 0.694
O 0.515 0.821 0.693
O 0.397 0.825 0.199
O 0.894 0.814 0.194
O 0.013 0.208 0.194
O 0.517 0.213 0.193
O 0.093 0.975 0.194
O 0.589 0.971 0.197
O 0.442 0.360 0.638
O 0.941 0.358 0.638
O 0.237 0.118 0.638
O 0.740 0.124 0.635
O 0.323 0.530 0.640
O 0.824 0.533 0.643
O 0.442 0.524 0.136
O 0.943 0.529 0.137
O 0.322 0.108 0.142
O 0.820 0.116 0.136
O 0.235 0.358 0.136
O 0.734 0.356 0.142
O 0.229 0.302 0.028
O 0.733 0.305 0.033
O 0.421 0.541 0.028
O 0.922 0.541 0.029
O 0.348 0.162 0.033
O 0.850 0.158 0.028
O 0.229 0.155 0.529
O 0.727 0.152 0.526
O 0.348 0.539 0.530
O 0.849 0.535 0.534
O 0.421 0.300 0.530
O 0.922 0.303 0.529
O 0.288 0.698 0.973
O 0.788 0.698 0.973
O 0.059 0.420 0.976
O 0.559 0.419 0.976
O 0.150 0.882 0.976
O 0.650 0.881 0.976
O 0.275 0.869 0.475
O 0.792 0.885 0.476
O 0.150 0.418 0.476
O 0.663 0.442 0.476
O 0.059 0.702 0.476
O 0.562 0.685 0.477
O 0.067 0.644 0.368
O 0.566 0.644 0.367
O 0.256 0.868 0.364
O 0.752 0.866 0.369
O 0.181 0.495 0.369
O 0.678 0.482 0.364
O 0.067 0.491 0.868
O 0.567 0.491 0.868
O 0.178 0.866 0.868
O 0.678 0.866 0.867
O 0.257 0.643 0.864
O 0.757 0.643 0.864
O 0.000 0.816 0.404
O 0.501 0.811 0.412
O 0.401 0.985 0.413
O 0.908 0.003 0.404
O 0.094 0.184 0.404
O 0.599 0.186 0.414
O 0.000 0.185 0.904
O 0.500 0.185 0.904
O 0.093 0.000 0.904
O 0.593 0.000 0.904
O 0.408 0.816 0.904
O 0.909 0.816 0.904
O 0.482 0.157 0.589
O 0.982 0.156 0.589
O 0.095 0.035 0.588
O 0.596 0.036 0.588
O 0.421 0.810 0.589
O 0.923 0.810 0.589
O 0.482 0.808 0.089
O 0.983 0.810 0.088
O 0.422 0.033 0.089
O 0.922 0.034 0.089
O 0.094 0.155 0.087
O 0.596 0.155 0.089
O 0.342 0.141 0.753
O 0.841 0.141 0.753
O 0.233 0.328 0.752
O 0.733 0.327 0.752
O 0.423 0.548 0.751
O 0.923 0.547 0.751
O 0.330 0.527 0.247
O 0.837 0.534 0.252
O 0.427 0.324 0.243
O 0.928 0.312 0.254
O 0.234 0.137 0.253
O 0.734 0.151 0.245
O 0.324 0.499 0.919
O 0.823 0.499 0.919
O 0.426 0.352 0.920
O 0.926 0.353 0.920
O 0.251 0.148 0.920
O 0.751 0.149 0.920
O 0.319 0.144 0.421
O 0.820 0.146 0.420
O 0.254 0.364 0.421
O 0.756 0.361 0.420
O 0.425 0.494 0.421
O 0.927 0.500 0.420
O 0.166 0.475 0.075
O 0.669 0.476 0.077
O 0.071 0.667 0.075
O 0.571 0.667 0.075
O 0.262 0.859 0.076
O 0.762 0.859 0.075
O 0.166 0.857 0.577
O 0.667 0.859 0.577
O 0.261 0.663 0.577
O 0.763 0.665 0.579
O 0.070 0.474 0.578
O 0.571 0.475 0.577
O 0.147 0.821 0.257
O 0.654 0.826 0.255
O 0.260 0.710 0.254
O 0.762 0.700 0.258
O 0.088 0.470 0.258
O 0.591 0.478 0.254
O 0.149 0.477 0.757
O 0.649 0.477 0.757
O 0.086 0.701 0.757
O 0.586 0.701 0.758
O 0.265 0.817 0.757
O 0.765 0.817 0.757
CELL_PARAMETERS angstrom
18.242 -0.038 -0.004
-4.577 7.901 -0.001
-0.005 -0.005 22.885

[4]
! Na3CaHfP3O12 (PBE-GGA, relaxed); values from VASP
! Volume = 13.80 Å³/atom
! Energy relative to the elements = -68.95 kcal/mol of atoms
&SYSTEM
  ibrav = 0, nat = 80, ntyp = 5
/
ATOMIC_SPECIES
Na 22.99 Na.upf
Ca 40.08 Ca.upf
Hf 178.49 Hf.upf
P 30.97 P.upf
O 16.00 O.upf
ATOMIC_POSITIONS crystal
Na 0.252 0.732 0.988
Na 0.752 0.768 0.488
Na 0.752 0.232 0.988
Na 0.252 0.268 0.488
Na 0.504 0.091 0.747
Na 0.504 0.909 0.247
Na 0.004 0.591 0.747
Na 0.004 0.409 0.247
Na 0.179 0.932 0.301
Na 0.179 0.068 0.801
Na 0.679 0.432 0.301
Na 0.679 0.568 0.801
Ca 0.103 0.749 0.561
Ca 0.103 0.251 0.061
Ca 0.603 0.249 0.561
Ca 0.603 0.751 0.061
Hf 0.896 0.758 0.942
Hf 0.896 0.242 0.442
Hf 0.396 0.258 0.942
Hf 0.396 0.742 0.442
P 0.995 0.951 0.757
P 0.995 0.049 0.257
P 0.495 0.451 0.757
P 0.495 0.549 0.257
P 0.353 0.912 0.756
P 0.649 0.886 0.745
P 0.649 0.114 0.245
P 0.353 0.088 0.256
P 0.853 0.412 0.756
P 0.149 0.386 0.745
P 0.149 0.614 0.245
P 0.853 0.588 0.256
O 0.156 0.551 0.746
O 0.851 0.584 0.752
O 0.851 0.416 0.252
O 0.156 0.449 0.246
O 0.656 0.051 0.746
O 0.351 0.084 0.752
O 0.351 0.916 0.252
O 0.656 0.949 0.246
O 0.437 0.559 0.592
O 0.561 0.538 0.926
O 0.561 0.462 0.426
O 0.437 0.441 0.092
O 0.937 0.059 0.592
O 0.061 0.038 0.926
O 0.061 0.962 0.426
O 0.937 0.941 0.092
O 0.261 0.859 0.751
O 0.740 0.810 0.750
O 0.740 0.190 0.250
O 0.261 0.141 0.251
O 0.761 0.359 0.751
O 0.240 0.310 0.750
O 0.240 0.690 0.250
O 0.761 0.641 0.251
O 0.352 0.866 0.586
O 0.653 0.834 0.905
O 0.653 0.166 0.405
O 0.352 0.134 0.086
O 0.852 0.366 0.586
O 0.153 0.334 0.905
O 0.153 0.666 0.405
O 0.852 0.634 0.086
O 0.453 0.864 0.925
O 0.545 0.828 0.571
O 0.545 0.172 0.071
O 0.453 0.136 0.425
O 0.953 0.364 0.925
O 0.045 0.328 0.571
O 0.045 0.672 0.071
O 0.953 0.636 0.425
O 0.066 0.847 0.744
O 0.913 0.858 0.755
O 0.913 0.142 0.255
O 0.066 0.153 0.244
O 0.566 0.347 0.744
O 0.413 0.358 0.755
O 0.413 0.642 0.255
O 0.566 0.653 0.244
CELL_PARAMETERS angstrom
13.264 0.000 -8.893
0.000 9.220 0.000
-0.201 0.000 9.166